(1)
Below is Hg3S2O11 after structural relaxation, with properties calculated at the PBE level.

Structure (extended XYZ):
```
32
Lattice="4.4434 3.9113 0.0000 -4.4434 3.9113 0.0000 0.0000 3.7611 13.9934" Properties=species:S:1:pos:R:3 pbc="T T T"
O -0.3379 7.8532 11.5848
O -0.7426 9.1122 13.6596
O 2.1535 5.3342 6.0575
O 0.3379 3.7305 2.4086
O 2.1535 4.3689 0.9392
O -2.1535 6.2495 7.9359
O -2.1415 3.4775 4.7556
O 0.7426 2.4714 0.3338
O 0.3379 5.9727 4.5881
O 2.1415 8.1062 9.2378
O -2.1535 7.2147 13.0541
O -0.3379 5.6110 9.4052
O 4.2323 4.8516 3.4983
O -0.6718 4.1659 12.0326
O -0.6718 9.2983 8.9575
O 0.6718 7.4178 1.9608
O -0.7426 4.3520 7.3305
O -4.2323 6.7321 10.4950
O -2.1415 6.2257 2.2411
O 0.6718 2.2854 5.0359
O 0.7426 7.2317 6.6629
O 2.1415 5.3580 11.7523
Hg 1.7253 8.0475 11.8782
Hg 0.0000 1.8805 6.9967
Hg -1.7253 3.5362 2.1152
Hg 0.0000 0.0000 0.0000
Hg 1.7253 5.4168 9.1119
Hg -1.7253 6.1669 4.8815
S -1.3997 5.0518 8.4442
S -1.3997 8.4124 12.5459
S 1.3997 6.5318 5.5492
S 1.3997 3.1713 1.4475
```

- energy of formation from the pure elements (eV per atom) = -0.99
- total magnetization (μB/f.u.) = 4.003
- crystal system = monoclinic
- calculated total energy (eV per atom) = -4.4885

---

(2)
Below is Hg2Sb2O7 after structural relaxation, with properties calculated at the PBE level.

Structure (extended XYZ):
```
22
Lattice="-2.2803 2.1198 6.7796 2.2794 6.5134 2.8348 -4.8214 5.6476 0.7171" Properties=species:S:1:pos:R:3 pbc="T T T"
O -2.4112 7.1404 5.1658
O -2.4908 10.1963 4.1835
O -0.9441 8.0491 7.8735
O -3.6167 10.7107 7.7486
O 0.4438 6.7588 3.7470
O 0.6300 3.3248 1.6707
O -0.2623 4.1544 4.3238
O -1.2568 5.5350 1.9513
O -1.1544 1.6055 3.2144
O -3.0412 3.8156 3.4951
O -2.1488 2.9860 0.8420
O -5.2661 7.5221 6.5845
O -3.8782 6.2318 2.4581
O -2.3315 4.0846 6.1480
Hg -1.8738 7.8656 3.0674
Hg -3.0139 8.9256 6.4572
Hg -0.6032 6.1017 6.0986
Hg -4.1537 5.6688 5.0398
Sb -1.7429 2.8450 4.6812
Sb -3.0135 4.6089 1.6500
Sb -0.6028 1.7851 1.2914
Sb 0.5369 5.0418 2.7088
```

- energy of formation from the pure elements (eV per atom) = -1.47
- crystal system = cubic
- calculated total energy (eV per atom) = -4.9856

---

(3)
Below is Hg2SeO3 after structural relaxation, with properties calculated at the PBE level.

Structure (extended XYZ):
```
24
Lattice="-2.4193 3.9781 -2.4901 -5.4857 1.0756 7.0479 2.6566 7.4849 9.3764" Properties=species:S:1:pos:R:3 pbc="T T T"
O -3.6917 3.5281 5.4009
O -3.3272 5.9950 3.3899
O -4.2041 8.0463 10.4959
O -1.9654 5.4246 1.1050
O -6.3768 5.6925 4.9385
O -1.5568 9.0104 8.5332
O 1.1284 6.8461 8.9956
O -3.2830 7.1140 12.8291
O -0.1731 8.4040 6.2708
O -1.0444 4.4922 3.4382
O -5.0753 4.1345 7.6633
O -1.9212 6.5435 10.5442
Hg -1.8710 4.5343 6.1413
Hg -3.3774 8.0042 7.7928
Hg -1.5339 2.5990 2.3223
Hg -5.2679 6.5674 6.6918
Hg 0.0195 5.9712 7.2423
Hg -0.4903 8.1906 10.8834
Hg -4.7581 4.3480 3.0507
Hg -3.7145 9.9396 11.6117
Se -0.3671 9.6592 7.4183
Se -1.7073 5.9364 2.7179
Se -3.5412 6.6022 11.2162
Se -4.8814 2.8793 6.5158
```

- energy of formation from the pure elements (eV per atom) = -0.92
- total magnetization (μB/f.u.) = 0.000
- crystal system = monoclinic
- calculated total energy (eV per atom) = -3.7358

---

(4)
Below is Hg3SeO6 after structural relaxation, with properties calculated at the PBE level.

Structure (extended XYZ):
```
30
Lattice="3.6428 -6.3094 0.0000 3.6428 6.3094 0.0000 0.0000 0.0000 10.6378" Properties=species:S:1:pos:R:3 pbc="T T T"
Hg 4.0947 -3.1553 0.1248
Hg 2.5495 -4.4004 3.4929
Hg 4.1043 3.1219 10.3542
Hg 6.1789 -1.9014 7.0389
Hg 4.2942 1.1940 6.8082
Hg 4.3280 -1.1857 3.6708
Hg 2.2000 -0.0077 10.5848
Hg 2.5057 -1.9685 7.2167
Hg 2.5297 1.9935 3.2623
O 2.3131 -2.0724 10.0775
O 4.6057 -0.7658 1.0972
O 2.9746 -4.7337 6.1062
O 4.7299 0.8560 9.5225
O 0.9116 0.0060 7.7969
O 2.0031 -1.9379 4.6431
O 1.6987 -0.2092 2.5602
O 6.2550 -1.3665 9.6521
O 6.8246 0.7865 0.7051
O 3.1921 5.5170 4.2510
O 4.3472 0.9723 3.9754
O 2.3112 2.0585 0.4294
O 4.3195 -3.6057 8.1890
O 4.2699 3.2786 7.5213
O 2.0191 1.7853 5.9766
O 4.1793 3.6682 2.4306
O 4.2810 -3.2700 2.9857
O 4.3342 -0.9670 6.5316
Se 4.3764 -4.8309 7.0305
Se 0.9136 -1.3746 3.4846
Se 5.6383 -0.1039 10.5764
```

- energy of formation from the pure elements (eV per atom) = -0.88
- energy relative to the lowest polymorph listed for this composition (eV per atom) = 0.000
- crystal system = trigonal
- calculated total energy (eV per atom) = -3.8752

---

(5)
Below is Hg2SeO3 after structural relaxation, with properties calculated at the PBE level.

Structure (extended XYZ):
```
24
Lattice="-4.0898 5.4551 6.0508 4.0898 -5.4551 6.0508 4.0898 5.4551 -6.0508" Properties=species:S:1:pos:R:3 pbc="T T T"
O 1.3683 6.9492 3.4252
O 1.3683 -1.4941 9.4760
O -1.3683 6.9492 3.4252
O 4.0898 0.4003 3.9322
O 2.7214 -1.4941 2.6256
O 4.0898 5.0548 -2.1186
O 0.0000 5.0548 2.1186
O 0.0000 0.4003 8.1694
O 1.3683 1.4941 2.6256
O 2.7214 3.9609 3.4252
O 2.7214 6.9492 -3.4252
O 5.4581 -1.4941 2.6256
Se 0.0000 0.4139 2.4352
Se 4.0898 5.0412 3.6156
Se 4.0898 -0.4139 2.4352
Se 0.0000 5.8690 3.6156
Hg 2.0928 3.6136 1.3015
Hg 1.9970 7.2966 1.3015
Hg 1.9970 3.6136 -1.3015
Hg 2.0928 -1.8415 4.7493
Hg 2.0928 7.2966 -1.3015
Hg 1.9970 1.8415 4.7493
Hg 2.0928 1.8415 7.3523
Hg 1.9970 -1.8415 7.3523
```

- energy of formation from the pure elements (eV per atom) = -0.93
- crystal system = orthorhombic
- calculated total energy (eV per atom) = -3.7417

---

(6)
Below is Hg2SeO3 after structural relaxation, with properties calculated at the PBE level.

Structure (extended XYZ):
```
24
Lattice="5.6782 -8.5354 0.0000 5.6782 8.5354 0.0000 0.0000 0.0000 5.2675" Properties=species:S:1:pos:R:3 pbc="T T T"
Se 7.7083 -1.8215 3.0947
Se 3.6480 1.8215 0.4609
Se 7.7083 1.8215 0.4609
Se 3.6480 -1.8215 3.0947
O 2.1509 1.1792 5.2229
O 3.4524 3.5309 0.0866
O 9.2055 1.1792 5.2229
O 7.9040 -3.5309 2.7204
O 9.2055 -1.1792 2.5891
O 3.4524 -3.5309 2.7204
O 3.4597 -1.8218 4.8318
O 3.4597 1.8218 2.1980
O 7.8967 1.8218 2.1980
O 7.9040 3.5309 0.0866
O 7.8967 -1.8218 4.8318
O 2.1509 -1.1792 2.5891
Hg 4.3732 4.3585 2.8621
Hg 10.0504 1.3951 2.7676
Hg 1.3060 -1.3951 0.1339
Hg 1.3060 1.3951 2.7676
Hg 4.3732 -4.3585 0.2283
Hg 6.9832 -4.3585 0.2283
Hg 10.0504 -1.3951 0.1339
Hg 6.9832 4.3585 2.8621
```

- energy of formation from the pure elements (eV per atom) = -0.92
- maximum piezoelectric response (C/m²) = 0.221
- total magnetization (μB/f.u.) = 0.000
- crystal system = orthorhombic
- calculated total energy (eV per atom) = -3.7358